# 1
Entry from the Materials Project database: a relaxed Y3Mg crystal (meta-GGA r2SCAN).

Space-group type   P6_3/mmc (194)
Formation energy from the elements   1 kJ/mol of atoms
Calculated total energy   -16.267 eV per atom

abc: 7.053 7.053 5.664
angles: 90.00 90.00 120.00
Fractional positions:
Y (0.170, 0.341, 0.750)
Y (0.830, 0.659, 0.250)
Mg (0.333, 0.667, 0.250)
Y (0.170, 0.830, 0.750)
Y (0.341, 0.170, 0.250)
Mg (0.667, 0.333, 0.750)
Y (0.659, 0.830, 0.750)
Y (0.830, 0.170, 0.250)



# 2
Entry from the Materials Project database: a relaxed Na2FeO3 crystal (meta-GGA r2SCAN).

Space-group type   P6_3/mcm (193)
Formation energy from the elements   -157 kJ/mol of atoms
Calculated total energy   -8.208 eV per atom
Polymorph energy (0 for the lowest one)   1.52 kcal/mol of atoms

abc: 5.137 5.137 10.610
angles: 90.00 90.00 120.00
Fractional positions:
O (0.622, 0.000, 0.401)
Fe (0.667, 0.333, 0.500)
O (0.000, 0.622, 0.099)
O (0.378, 0.000, 0.599)
Na (0.000, 0.000, 0.500)
Na (0.682, 0.000, 0.750)
Na (0.318, 0.318, 0.750)
O (0.000, 0.378, 0.901)
Fe (0.667, 0.333, 0.000)
O (0.000, 0.622, 0.401)
Fe (0.333, 0.667, 0.500)
O (0.000, 0.378, 0.599)
Na (0.000, 0.318, 0.250)
Na (0.000, 0.000, 0.000)
Na (0.318, 0.000, 0.250)
Na (0.682, 0.682, 0.250)
O (0.378, 0.378, 0.401)
O (0.622, 0.622, 0.599)
O (0.622, 0.622, 0.901)
O (0.378, 0.378, 0.099)
Na (0.000, 0.682, 0.750)
Fe (0.333, 0.667, 0.000)
O (0.378, 0.000, 0.901)
O (0.622, 0.000, 0.099)



# 3
Entry from the Materials Project database: a relaxed K4Hf3MnP6O24 crystal (meta-GGA r2SCAN).

Space-group type   P2_1 (4)
Formation energy from the elements   -279 kJ/mol of atoms
Calculated total energy   -12.674 eV per atom

abc: 10.133 10.166 10.181
angles: 90.04 90.00 90.00
Fractional positions:
O (0.520, 0.446, 0.244)
O (0.918, 0.596, 0.000)
K (0.069, 0.827, 0.573)
O (0.822, 0.999, 0.922)
O (0.471, 0.798, 0.796)
P (0.732, 0.873, 0.540)
O (0.532, 0.313, 0.702)
K (0.196, 0.437, 0.280)
O (0.204, 0.515, 0.970)
O (0.418, 0.404, 0.000)
Hf (0.912, 0.160, 0.587)
Hf (0.358, 0.394, 0.644)
O (0.032, 0.687, 0.298)
O (0.996, 0.835, 0.857)
K (0.300, 0.040, 0.815)
O (0.478, 0.958, 0.267)
P (0.273, 0.381, 0.960)
O (0.757, 0.224, 0.699)
O (0.971, 0.202, 0.204)
Mn (0.149, 0.100, 0.145)
P (0.623, 0.210, 0.770)
O (0.978, 0.042, 0.733)
O (0.410, 0.568, 0.732)
O (0.062, 0.051, 0.960)
O (0.645, 0.254, 0.913)
O (0.736, 0.267, 0.205)
Hf (0.412, 0.840, 0.413)
O (0.562, 0.949, 0.040)
O (0.145, 0.746, 0.087)
Hf (0.084, 0.667, 0.914)
K (0.696, 0.563, 0.720)
K (0.800, 0.960, 0.185)
O (0.800, 0.007, 0.517)
O (0.180, 0.479, 0.581)
O (0.493, 0.665, 0.348)
P (0.232, 0.127, 0.460)
Hf (0.858, 0.606, 0.356)
O (0.065, 0.925, 0.241)
Hf (0.584, 0.333, 0.086)
O (0.745, 0.823, 0.678)
O (0.236, 0.733, 0.795)
O (0.245, 0.177, 0.322)
O (0.587, 0.889, 0.498)
P (0.537, 0.523, 0.372)
K (0.937, 0.301, 0.943)
O (0.801, 0.777, 0.444)
O (0.449, 0.456, 0.474)
P (0.123, 0.790, 0.230)
O (0.300, 0.993, 0.483)
Mn (0.649, 0.900, 0.855)
O (0.993, 0.335, 0.652)
O (0.910, 0.432, 0.268)
O (0.087, 0.111, 0.502)
O (0.771, 0.667, 0.184)
P (0.037, 0.477, 0.628)
K (0.569, 0.173, 0.427)
O (0.257, 0.776, 0.301)
O (0.565, 0.075, 0.759)
O (0.349, 0.751, 0.582)
O (0.271, 0.333, 0.816)
O (0.322, 0.001, 0.078)
O (0.704, 0.715, 0.951)
O (0.496, 0.165, 0.143)
O (0.704, 0.485, 0.030)
K (0.437, 0.699, 0.057)
P (0.462, 0.017, 0.126)
O (0.849, 0.249, 0.418)
O (0.301, 0.223, 0.556)
O (0.020, 0.554, 0.756)
O (0.680, 0.521, 0.419)
P (0.870, 0.285, 0.273)
P (0.370, 0.715, 0.727)
O (0.204, 0.285, 0.049)
P (0.773, 0.619, 0.040)
O (0.949, 0.544, 0.526)
P (0.962, 0.983, 0.874)



# 4
Entry from the Materials Project database: a relaxed ThSeO crystal (meta-GGA r2SCAN).

Space-group type   P4/nmm (129)
Formation energy from the elements   -313 kJ/mol of atoms
Calculated total energy   -34.497 eV per atom

abc: 4.039 4.039 7.072
angles: 90.00 90.00 90.00
Fractional positions:
Se (0.250, 0.250, 0.638)
Th (0.250, 0.250, 0.188)
O (0.750, 0.250, 0.000)
Th (0.750, 0.750, 0.812)
O (0.250, 0.750, 0.000)
Se (0.750, 0.750, 0.362)



# 5
Entry from the Materials Project database: a relaxed SrNbO3 crystal (meta-GGA r2SCAN).

Space-group type   Pnma (62)
Formation energy from the elements   -290 kJ/mol of atoms
Calculated total energy   -14.565 eV per atom

abc: 5.727 5.730 8.135
angles: 90.00 90.00 90.00
Fractional positions:
O (0.719, 0.281, 0.019)
O (0.219, 0.219, 0.981)
O (0.038, 0.494, 0.250)
Nb (0.500, 0.000, 0.500)
O (0.719, 0.281, 0.481)
Sr (0.500, 0.517, 0.250)
O (0.219, 0.219, 0.519)
O (0.781, 0.781, 0.481)
O (0.281, 0.719, 0.981)
O (0.962, 0.506, 0.750)
Nb (0.000, 0.500, 0.000)
Nb (0.500, 0.000, 0.000)
Sr (0.000, 0.983, 0.750)
Sr (0.500, 0.483, 0.750)
Nb (0.000, 0.500, 0.500)
Sr (0.000, 0.017, 0.250)
O (0.781, 0.781, 0.019)
O (0.538, 0.006, 0.750)
O (0.462, 0.994, 0.250)
O (0.281, 0.719, 0.519)



# 6
Entry from the Materials Project database: a relaxed Cu crystal (meta-GGA r2SCAN).

Space-group type   Fm-3m (225)
Formation energy from the elements   0 kJ/mol of atoms
Calculated total energy   -10.847 eV per atom
Polymorph energy (0 for the lowest one)   0.00 kcal/mol of atoms

abc: 2.530 2.530 2.530
angles: 60.00 60.00 60.00
Fractional positions:
Cu (0.000, 0.000, 0.000)



# 7
Entry from the Materials Project database: a relaxed Ba2CuF6 crystal (meta-GGA r2SCAN).

Space-group type   Cmce (64)
Formation energy from the elements   -326 kJ/mol of atoms
Calculated total energy   -12.559 eV per atom
Polymorph energy (0 for the lowest one)   0.00 kcal/mol of atoms

abc: 5.925 5.843 8.444
angles: 110.23 90.00 90.00
Fractional positions:
F (0.750, 0.502, 0.500)
Cu (0.000, 0.500, 0.000)
F (0.500, 0.118, 0.237)
Ba (0.500, 0.649, 0.299)
Ba (0.000, 0.149, 0.299)
F (0.000, 0.382, 0.763)
Cu (0.500, 0.000, 0.000)
F (0.250, 0.498, 0.500)
Ba (0.500, 0.351, 0.701)
F (0.326, 0.282, 0.000)
F (0.826, 0.218, 0.000)
F (0.750, 0.002, 0.500)
F (0.250, 0.998, 0.500)
F (0.674, 0.718, 0.000)
F (0.174, 0.782, 0.000)
Ba (0.000, 0.851, 0.701)
F (0.500, 0.882, 0.763)
F (0.000, 0.618, 0.237)



# 8
Entry from the Materials Project database: a relaxed ScAgSe2 crystal (meta-GGA r2SCAN).

Space-group type   P2_12_12_1 (19)
Formation energy from the elements   -121 kJ/mol of atoms
Calculated total energy   -16.603 eV per atom

abc: 3.996 6.781 13.218
angles: 90.00 90.00 90.00
Fractional positions:
Sc (0.224, 0.282, 0.130)
Se (0.777, 0.922, 0.726)
Se (0.729, 0.471, 0.030)
Ag (0.515, 0.713, 0.881)
Se (0.723, 0.078, 0.226)
Se (0.271, 0.971, 0.470)
Se (0.277, 0.578, 0.274)
Se (0.771, 0.529, 0.530)
Sc (0.776, 0.782, 0.370)
Se (0.229, 0.029, 0.970)
Ag (0.985, 0.287, 0.381)
Sc (0.724, 0.218, 0.870)
Se (0.223, 0.422, 0.774)
Ag (0.485, 0.213, 0.619)
Ag (0.015, 0.787, 0.119)
Sc (0.276, 0.718, 0.630)



# 9
Entry from the Materials Project database: a relaxed Nd2S3 crystal (meta-GGA r2SCAN).

Space-group type   I-42d (122)
Formation energy from the elements   -227 kJ/mol of atoms
Calculated total energy   -18.945 eV per atom

abc: 22.325 8.603 8.603
angles: 90.00 54.69 54.69
Fractional positions:
Nd (0.586, 0.871, 0.121)
Nd (0.994, 0.397, 0.249)
Nd (0.747, 0.629, 0.379)
S (0.884, 0.005, 0.845)
S (0.784, 0.505, 0.002)
S (0.450, 0.655, 0.655)
Nd (0.339, 0.381, 0.251)
Nd (0.167, 0.750, 0.870)
Nd (0.247, 0.879, 0.129)
S (0.950, 0.496, 0.996)
Nd (0.086, 0.621, 0.371)
S (0.784, 0.645, 0.647)
S (0.884, 0.845, 0.504)
S (0.384, 0.345, 0.505)
S (0.950, 0.155, 0.155)
Nd (0.839, 0.233, 0.603)
S (0.284, 0.502, 0.005)
S (0.050, 0.998, 0.355)
Nd (0.667, 0.130, 0.750)
Nd (0.839, 0.751, 0.881)
S (0.627, 0.126, 0.131)
S (0.550, 0.855, 0.498)
Nd (0.494, 0.267, 0.619)
S (0.627, 0.491, 0.986)
Nd (0.494, 0.749, 0.897)
S (0.206, 0.869, 0.509)
Nd (0.994, 0.119, 0.767)
S (0.127, 0.486, 0.991)
Nd (0.339, 0.103, 0.733)
S (0.050, 0.353, 0.495)
S (0.706, 0.009, 0.369)
S (0.550, 0.995, 0.853)
Nd (0.667, 0.370, 0.250)
S (0.706, 0.374, 0.514)
S (0.384, 0.004, 0.345)
S (0.450, 0.496, 0.996)
S (0.206, 0.014, 0.874)
Nd (0.167, 0.250, 0.630)
S (0.284, 0.147, 0.145)
S (0.127, 0.631, 0.626)



# 10
Entry from the Materials Project database: a relaxed ScGeIr crystal (meta-GGA r2SCAN).

Space-group type   Pnma (62)
Formation energy from the elements   -101 kJ/mol of atoms
Calculated total energy   -26.926 eV per atom

abc: 4.133 6.500 7.462
angles: 90.00 90.00 90.00
Fractional positions:
Ir (0.250, 0.162, 0.058)
Sc (0.750, 0.985, 0.311)
Ge (0.750, 0.217, 0.879)
Ge (0.250, 0.783, 0.121)
Ir (0.750, 0.838, 0.942)
Sc (0.750, 0.485, 0.189)
Sc (0.250, 0.015, 0.689)
Ir (0.750, 0.338, 0.558)
Ge (0.250, 0.283, 0.379)
Sc (0.250, 0.515, 0.811)
Ir (0.250, 0.662, 0.442)
Ge (0.750, 0.717, 0.621)



# 11
Entry from the Materials Project database: a relaxed UGaTc2 crystal (meta-GGA r2SCAN).

Space-group type   C2/m (12)
Formation energy from the elements   -16 kJ/mol of atoms
Calculated total energy   -35.999 eV per atom

abc: 4.542 4.548 4.549
angles: 60.13 59.85 59.99
Fractional positions:
Tc (0.003, 0.998, 0.000)
Ga (0.250, 0.250, 0.250)
U (0.750, 0.750, 0.750)
Tc (0.497, 0.502, 0.500)



# 12
Entry from the Materials Project database: a relaxed Tb4H9 crystal (meta-GGA r2SCAN).

Space-group type   I4/mmm (139)
Formation energy from the elements   -75 kJ/mol of atoms
Calculated total energy   -12.773 eV per atom

abc: 6.386 6.386 6.386
angles: 131.97 131.97 70.27
Fractional positions:
H (0.115, 0.115, 0.485)
Tb (0.500, 0.000, 0.500)
Tb (0.252, 0.252, 0.000)
H (0.370, 0.885, 0.000)
H (0.630, 0.115, 0.000)
H (0.630, 0.630, 0.515)
H (0.500, 0.500, 0.000)
H (0.115, 0.630, 0.000)
H (0.885, 0.370, 0.000)
H (0.370, 0.370, 0.485)
Tb (0.748, 0.748, 0.000)
Tb (0.000, 0.500, 0.500)
H (0.885, 0.885, 0.515)



# 13
Entry from the Materials Project database: a relaxed TbMgIn crystal (meta-GGA r2SCAN).

Space-group type   P-62m (189)
Formation energy from the elements   -50 kJ/mol of atoms
Calculated total energy   -19.842 eV per atom

abc: 7.519 7.519 4.672
angles: 90.00 90.00 120.00
Fractional positions:
Tb (0.567, 0.000, 0.000)
Tb (0.433, 0.433, 0.000)
In (0.667, 0.333, 0.500)
In (0.333, 0.667, 0.500)
Tb (0.000, 0.567, 0.000)
Mg (0.242, 0.000, 0.500)
In (0.000, 0.000, 0.000)
Mg (0.758, 0.758, 0.500)
Mg (0.000, 0.242, 0.500)



# 14
Entry from the Materials Project database: a relaxed SrZrN2 crystal (meta-GGA r2SCAN).

Space-group type   R-3m (166)
Formation energy from the elements   -153 kJ/mol of atoms
Calculated total energy   -15.621 eV per atom

abc: 6.235 6.235 6.235
angles: 31.42 31.42 31.42
Fractional positions:
N (0.233, 0.233, 0.233)
Sr (0.000, 0.000, 0.000)
Zr (0.500, 0.500, 0.500)
N (0.767, 0.767, 0.767)



# 15
Entry from the Materials Project database: a relaxed SmSi2Rh3 crystal (meta-GGA r2SCAN).

Space-group type   P6/mmm (191)
Formation energy from the elements   -105 kJ/mol of atoms
Calculated total energy   -21.032 eV per atom

abc: 5.534 5.534 3.650
angles: 90.00 90.00 120.00
Fractional positions:
Si (0.667, 0.333, 0.000)
Si (0.333, 0.667, 0.000)
Sm (0.000, 0.000, 0.000)
Rh (0.500, 0.500, 0.500)
Rh (0.500, 0.000, 0.500)
Rh (0.000, 0.500, 0.500)



# 16
Entry from the Materials Project database: a relaxed HoErAg2 crystal (meta-GGA r2SCAN).

Space-group type   Fm-3m (225)
Formation energy from the elements   -33 kJ/mol of atoms
Calculated total energy   -27.723 eV per atom

abc: 5.064 5.064 5.064
angles: 60.00 60.00 60.00
Fractional positions:
Ho (0.750, 0.750, 0.750)
Ag (0.500, 0.500, 0.500)
Er (0.250, 0.250, 0.250)
Ag (0.000, 0.000, 0.000)



# 17
Entry from the Materials Project database: a relaxed MgIn crystal (meta-GGA r2SCAN).

Space-group type   C2/m (12)
Formation energy from the elements   -11 kJ/mol of atoms
Calculated total energy   -13.483 eV per atom

abc: 3.360 3.360 5.140
angles: 70.65 70.65 60.11
Fractional positions:
In (0.000, 0.000, 0.000)
Mg (0.500, 0.500, 0.500)



# 18
Entry from the Materials Project database: a relaxed LiEr2Ir crystal (meta-GGA r2SCAN).

Space-group type   Fm-3m (225)
Formation energy from the elements   -67 kJ/mol of atoms
Calculated total energy   -31.340 eV per atom

abc: 4.839 4.839 4.839
angles: 60.00 60.00 60.00
Fractional positions:
Er (0.500, 0.500, 0.500)
Er (0.000, 0.000, 0.000)
Li (0.750, 0.750, 0.750)
Ir (0.250, 0.250, 0.250)